Here is a relaxed BiB3O6 crystal from Materials Project. Energies are from r²SCAN.

Summary:
Calculated density in g cm⁻³: 5.0
ΔE to the lowest computed polymorph in kcal/mol of atoms: 0.431
Formation energy from the elements in kJ per mole of atoms: -223.0
E in eV/atom: -13.949

abc: 4.355 4.358 6.528
angles: 77.90 77.69 70.64
Positions (direct):
O 0.604 0.654 0.591
O 0.893 0.255 0.359
O 0.708 0.072 0.725
O 0.407 0.140 0.163
O 0.829 0.558 0.919
O 0.310 0.360 0.493
B 0.221 0.246 0.346
B 0.720 0.744 0.737
B 0.624 0.341 0.542
Bi 0.919 0.049 0.041